VASP calculation (PBE) on a relaxed structure of Na3SbF6.

Summary:
spin magnetization: 0.001 μB/f.u.
formation energy from the elements: -2639 meV/atom

a b c (Å): 6.588 6.768 8.016
angles (deg): 67.77 87.10 68.86
Space group P-1 (No. 2)
Symmetry-distinct sites (fractional):
Na 0.000 0.000 0.000 [1 per cell]
Na 0.000 0.500 0.000 [1 per cell]
Na 0.500 0.000 0.500 [1 per cell]
Sb 0.500 0.000 0.000 [1 per cell]
F 0.165 0.255 0.877 [2 per cell]
F 0.336 0.756 0.061 [2 per cell]
F 0.369 0.080 0.238 [2 per cell]